Na6CaSn7P12O48 | PBE-GGA | relaxed

Geometry as CIF:
```
data_Na6CaSn7P12O48
_cell_length_a 8.8321
_cell_length_b 15.3159
_cell_length_c 22.8495
_cell_angle_alpha 90.00
_cell_angle_beta 89.96
_cell_angle_gamma 89.99
_space_group_name_H-M_alt 'P 1'
_space_group_IT_number 1
loop_
_space_group_symop_operation_xyz
'x,y,z'
loop_
_atom_site_label
_atom_site_type_symbol
_atom_site_fract_x
_atom_site_fract_y
_atom_site_fract_z
_atom_site_occupancy
Na1 Na 0.0000 0.0000 0.0000 1
Na2 Na 0.0012 0.0012 0.4989 1
Na3 Na 0.0121 0.3327 0.6675 1
Na4 Na 0.1316 0.4959 0.2544 1
Na5 Na 0.1801 0.1865 0.2542 1
Na6 Na 0.3208 0.6869 0.7573 1
Na7 Na 0.3681 0.9946 0.7575 1
Na8 Na 0.4934 0.1724 0.8415 1
Na9 Na 0.4998 0.4984 0.4988 1
Na10 Na 0.5007 0.4995 0.9999 1
Na11 Na 0.5020 0.8332 0.1653 1
Na12 Na 0.5121 0.8327 0.6685 1
Na13 Na 0.5132 0.1693 0.3366 1
Na14 Na 0.8208 0.1870 0.7572 1
Na15 Na 0.8680 0.4945 0.7573 1
Na16 Na 0.9868 0.3327 0.1673 1
Na17 Na 0.9932 0.6723 0.8415 1
Na18 Na 0.9950 0.6697 0.3355 1
Ca1 Ca 0.0088 0.3330 0.8200 1
Ca2 Ca 0.5087 0.8329 0.8200 1
Ca3 Ca 0.9913 0.3329 0.3181 1
Sn1 Sn 0.0002 0.3335 0.5169 1
Sn2 Sn 0.0004 0.6676 0.4817 1
Sn3 Sn 0.0001 0.9958 0.1467 1
Sn4 Sn 0.0012 0.3332 0.0179 1
Sn5 Sn 0.0011 0.6661 0.9847 1
Sn6 Sn 0.4976 0.1690 0.6831 1
Sn7 Sn 0.4988 0.4986 0.8558 1
Sn8 Sn 0.4997 0.1651 0.4830 1
Sn9 Sn 0.4996 0.4988 0.6443 1
Sn10 Sn 0.4995 0.8331 0.5192 1
Sn11 Sn 0.5013 0.1662 0.9850 1
Sn12 Sn 0.5006 0.8333 0.0172 1
Sn13 Sn 0.5019 0.5027 0.1459 1
Sn14 Sn 0.5020 0.8334 0.3155 1
Sn15 Sn 0.5038 0.4983 0.3541 1
Sn16 Sn 0.5065 0.1654 0.1839 1
Sn17 Sn 0.9969 0.6703 0.1853 1
Sn18 Sn 0.9978 0.6684 0.6832 1
Sn19 Sn 0.9992 0.0003 0.3539 1
Sn20 Sn 0.9993 0.9989 0.6444 1
Sn21 Sn 0.9987 0.9987 0.8558 1
P1 P 0.1378 0.8542 0.7486 1
P2 P 0.1454 0.5194 0.0857 1
P3 P 0.1478 0.1421 0.7479 1
P4 P 0.1503 0.1822 0.4171 1
P5 P 0.1497 0.8124 0.0843 1
P6 P 0.1516 0.4842 0.4170 1
P7 P 0.2059 0.1668 0.0857 1
P8 P 0.2088 0.8335 0.4172 1
P9 P 0.2118 0.5020 0.7474 1
P10 P 0.2919 0.9986 0.2502 1
P11 P 0.2943 0.6678 0.5841 1
P12 P 0.3019 0.3323 0.9197 1
P13 P 0.3489 0.6830 0.9171 1
P14 P 0.3505 0.9843 0.9173 1
P15 P 0.3506 0.3130 0.5829 1
P16 P 0.3552 0.0187 0.5844 1
P17 P 0.3558 0.6462 0.2507 1
P18 P 0.3631 0.3538 0.2484 1
P19 P 0.6380 0.3542 0.7487 1
P20 P 0.6464 0.9787 0.4178 1
P21 P 0.6465 0.0180 0.0839 1
P22 P 0.6468 0.6876 0.4175 1
P23 P 0.6476 0.6421 0.7479 1
P24 P 0.6492 0.3139 0.0839 1
P25 P 0.6989 0.3329 0.4198 1
P26 P 0.7057 0.6684 0.0837 1
P27 P 0.7116 0.0020 0.7474 1
P28 P 0.7899 0.5038 0.2482 1
P29 P 0.7948 0.1676 0.5838 1
P30 P 0.8021 0.8324 0.9195 1
P31 P 0.8490 0.1831 0.9172 1
P32 P 0.8508 0.4841 0.9174 1
P33 P 0.8517 0.1413 0.2484 1
P34 P 0.8523 0.8130 0.5825 1
P35 P 0.8554 0.5192 0.5836 1
P36 P 0.8549 0.8544 0.2513 1
O1 O 0.0645 0.7612 0.7439 1
O2 O 0.0691 0.8949 0.8042 1
O3 O 0.0717 0.4282 0.0793 1
O4 O 0.0731 0.0896 0.4155 1
O5 O 0.0748 0.2310 0.7507 1
O6 O 0.0752 0.7719 0.0306 1
O7 O 0.0747 0.9039 0.0894 1
O8 O 0.0763 0.2264 0.4716 1
O9 O 0.0779 0.5587 0.1432 1
O10 O 0.0791 0.0990 0.6927 1
O11 O 0.0789 0.5762 0.4261 1
O12 O 0.0890 0.4519 0.3596 1
O13 O 0.1023 0.4262 0.7497 1
O14 O 0.1065 0.0837 0.0908 1
O15 O 0.1057 0.2492 0.0793 1
O16 O 0.1078 0.7515 0.4232 1
O17 O 0.1082 0.9157 0.4112 1
O18 O 0.1116 0.9103 0.6933 1
O19 O 0.1156 0.5896 0.7435 1
O20 O 0.1200 0.5775 0.0323 1
O21 O 0.1222 0.4255 0.4716 1
O22 O 0.1264 0.7577 0.1407 1
O23 O 0.1267 0.0834 0.8030 1
O24 O 0.1342 0.2294 0.3597 1
O25 O 0.1742 0.9923 0.9154 1
O26 O 0.1769 0.3227 0.5774 1
O27 O 0.1767 0.6714 0.9271 1
O28 O 0.1791 0.6518 0.2451 1
O29 O 0.1810 0.0096 0.5881 1
O30 O 0.1916 0.3433 0.2509 1
O31 O 0.1924 0.6534 0.5310 1
O32 O 0.1939 0.0186 0.3049 1
O33 O 0.1964 0.9822 0.1951 1
O34 O 0.2013 0.3484 0.9747 1
O35 O 0.2034 0.6826 0.6419 1
O36 O 0.2201 0.3155 0.8634 1
O37 O 0.2987 0.1818 0.1433 1
O38 O 0.3041 0.8497 0.4729 1
O39 O 0.3060 0.8173 0.3621 1
O40 O 0.3072 0.1511 0.0324 1
O41 O 0.3081 0.4909 0.6920 1
O42 O 0.3095 0.8430 0.7511 1
O43 O 0.3096 0.5204 0.8025 1
O44 O 0.3200 0.5107 0.0901 1
O45 O 0.3229 0.1699 0.4266 1
O46 O 0.3231 0.8224 0.0782 1
O47 O 0.3252 0.1456 0.7432 1
O48 O 0.3277 0.4940 0.4150 1
O49 O 0.3644 0.7294 0.8590 1
O50 O 0.3726 0.2588 0.6398 1
O51 O 0.3756 0.5865 0.3049 1
O52 O 0.3804 0.9242 0.9709 1
O53 O 0.3827 0.0766 0.5313 1
O54 O 0.3867 0.0845 0.2440 1
O55 O 0.3902 0.4130 0.1947 1
O56 O 0.3950 0.5853 0.5879 1
O57 O 0.3946 0.7503 0.5788 1
O58 O 0.3949 0.9179 0.2571 1
O59 O 0.4012 0.4167 0.9163 1
O60 O 0.4066 0.2522 0.9284 1
O61 O 0.4119 0.9531 0.8591 1
O62 O 0.4198 0.0761 0.9271 1
O63 O 0.4231 0.0572 0.6420 1
O64 O 0.4242 0.7278 0.9708 1
O65 O 0.4254 0.2708 0.5299 1
O66 O 0.4250 0.4045 0.5877 1
O67 O 0.4254 0.5909 0.9151 1
O68 O 0.4250 0.6074 0.1948 1
O69 O 0.4262 0.7380 0.2575 1
O70 O 0.4294 0.9275 0.5790 1
O71 O 0.4313 0.3935 0.3048 1
O72 O 0.4347 0.2603 0.2436 1
O73 O 0.5648 0.2612 0.7441 1
O74 O 0.5691 0.3948 0.8044 1
O75 O 0.5719 0.9270 0.0780 1
O76 O 0.5735 0.9392 0.3624 1
O77 O 0.5739 0.0573 0.1399 1
O78 O 0.5739 0.7273 0.4730 1
O79 O 0.5752 0.0704 0.4241 1
O80 O 0.5755 0.4054 0.0893 1
O81 O 0.5747 0.5962 0.4113 1
O82 O 0.5747 0.7311 0.7507 1
O83 O 0.5758 0.2723 0.0302 1
O84 O 0.5789 0.5990 0.6927 1
O85 O 0.5951 0.2516 0.4277 1
O86 O 0.5990 0.4174 0.4166 1
O87 O 0.6022 0.9262 0.7497 1
O88 O 0.6043 0.7503 0.0780 1
O89 O 0.6050 0.5856 0.0882 1
O90 O 0.6118 0.4104 0.6936 1
O91 O 0.6157 0.0896 0.7432 1
O92 O 0.6225 0.0759 0.0302 1
O93 O 0.6223 0.9224 0.4731 1
O94 O 0.6234 0.7440 0.3623 1
O95 O 0.6265 0.5836 0.8030 1
O96 O 0.6265 0.2582 0.1400 1
O97 O 0.6745 0.4924 0.9155 1
O98 O 0.6764 0.1479 0.2440 1
O99 O 0.6767 0.1716 0.9269 1
O100 O 0.6786 0.8222 0.5776 1
O101 O 0.6802 0.8445 0.2571 1
O102 O 0.6811 0.5100 0.5881 1
O103 O 0.6919 0.4928 0.1932 1
O104 O 0.6927 0.1507 0.5310 1
O105 O 0.6952 0.5183 0.3046 1
O106 O 0.7015 0.8483 0.9744 1
O107 O 0.7034 0.1823 0.6416 1
O108 O 0.7202 0.8155 0.8632 1
O109 O 0.7826 0.3160 0.3639 1
O110 O 0.7979 0.3486 0.4752 1
O111 O 0.7998 0.6841 0.1399 1
O112 O 0.8045 0.6516 0.0300 1
O113 O 0.8078 0.9904 0.6919 1
O114 O 0.8096 0.0204 0.8024 1
O115 O 0.8096 0.3430 0.7513 1
O116 O 0.8206 0.0091 0.0892 1
O117 O 0.8210 0.6790 0.4236 1
O118 O 0.8206 0.9867 0.4122 1
O119 O 0.8234 0.3228 0.0778 1
O120 O 0.8251 0.6457 0.7432 1
O121 O 0.8649 0.2294 0.8590 1
O122 O 0.8749 0.7582 0.6387 1
O123 O 0.8765 0.0870 0.3052 1
O124 O 0.8777 0.9083 0.1954 1
O125 O 0.8812 0.4241 0.9710 1
O126 O 0.8813 0.5790 0.5309 1
O127 O 0.8920 0.5885 0.2451 1
O128 O 0.8953 0.0847 0.5878 1
O129 O 0.8947 0.2499 0.5780 1
O130 O 0.8969 0.4264 0.2495 1
O131 O 0.9014 0.9168 0.9162 1
O132 O 0.9073 0.7525 0.9281 1
O133 O 0.9119 0.4530 0.8591 1
O134 O 0.9207 0.5759 0.9270 1
O135 O 0.9234 0.5574 0.6415 1
O136 O 0.9255 0.0909 0.9151 1
O137 O 0.9255 0.0966 0.1946 1
O138 O 0.9246 0.2278 0.9709 1
O139 O 0.9261 0.7721 0.5284 1
O140 O 0.9273 0.8942 0.3066 1
O141 O 0.9266 0.9043 0.5872 1
O142 O 0.9276 0.2300 0.2501 1
O143 O 0.9298 0.4283 0.5778 1
O144 O 0.9298 0.7629 0.2460 1
```

Properties
Spin magnetization in Bohr magnetons per cell: 0.0
ΔH_f (0 K) in kJ per mole of atoms: -247
V in Å³/atom: 13.92